(1)
{"formula": "Rb2MgFe4O7", "functional": "GGA+U", "state": "optimized geometry", "sg": "P1, No. 1", "crystal_system": "triclinic", "total_energy_ev_per_cell": -81.8, "lattice": [[5.359, 0.000, 0.000], [-2.504, 4.887, 0.000], [-0.782, -1.593, 7.797]], "species": ["Rb", "Rb", "Mg", "Fe", "Fe", "Fe", "Fe", "O", "O", "O", "O", "O", "O", "O"], "frac_coords": [[0.000, 0.000, 0.000], [0.372, 0.695, 0.142], [0.747, 0.416, 0.306], [0.182, 0.511, 0.595], [0.429, 0.114, 0.513], [0.613, 0.275, 0.822], [0.831, 0.851, 0.581], [0.088, 0.738, 0.434], [0.245, 0.238, 0.718], [0.450, 0.454, 0.426], [0.541, 0.895, 0.721], [0.662, 0.336, 0.062], [0.793, 0.148, 0.432], [0.923, 0.566, 0.749]]}

---

(2)
{"formula": "MgZn2Te2Mo2O12", "functional": "GGA+U", "state": "optimized geometry", "sg": "P1, No. 1", "crystal_system": "triclinic", "total_energy_ev_per_cell": -111.7, "lattice": [[5.091, 0.000, 0.000], [0.107, 5.351, 0.000], [0.365, 0.208, 10.214]], "species": ["Mg", "Zn", "Zn", "Te", "Te", "Mo", "Mo", "O", "O", "O", "O", "O", "O", "O", "O", "O", "O", "O", "O"], "frac_coords": [[0.000, 0.000, 0.000], [0.493, 0.511, 0.476], [0.980, 0.011, 0.518], [0.497, 0.015, 0.281], [0.988, 0.516, 0.713], [0.006, 0.499, 0.231], [0.509, 0.045, 0.774], [0.124, 0.247, 0.123], [0.192, 0.682, 0.577], [0.232, 0.210, 0.680], [0.250, 0.192, 0.397], [0.275, 0.694, 0.300], [0.280, 0.864, 0.882], [0.708, 0.836, 0.406], [0.720, 0.333, 0.323], [0.733, 0.173, 0.890], [0.739, 0.826, 0.677], [0.749, 0.326, 0.609], [0.863, 0.741, 0.121]]}

---

(3)
{"formula": "YCrGeO5", "functional": "GGA+U", "state": "optimized geometry", "sg": "Pbam, No. 55", "crystal_system": "orthorhombic", "total_energy_ev_per_cell": -250.6, "lattice": [[7.443, 0.000, 0.000], [0.000, 8.486, 0.000], [0.000, 0.000, 5.809]], "species": ["Y", "Y", "Y", "Y", "Cr", "Cr", "Cr", "Cr", "Ge", "Ge", "Ge", "Ge", "O", "O", "O", "O", "O", "O", "O", "O", "O", "O", "O", "O", "O", "O", "O", "O", "O", "O", "O", "O"], "frac_coords": [[0.143, 0.174, 0.000], [0.357, 0.674, 0.000], [0.643, 0.326, 0.000], [0.857, 0.826, 0.000], [0.000, 0.500, 0.251], [0.000, 0.500, 0.749], [0.500, 0.000, 0.251], [0.500, 0.000, 0.749], [0.117, 0.856, 0.500], [0.383, 0.356, 0.500], [0.617, 0.644, 0.500], [0.883, 0.144, 0.500], [0.000, 0.000, 0.289], [0.000, 0.000, 0.711], [0.111, 0.718, 0.251], [0.111, 0.718, 0.749], [0.157, 0.418, 0.500], [0.168, 0.443, 0.000], [0.332, 0.943, 0.000], [0.343, 0.918, 0.500], [0.389, 0.218, 0.251], [0.389, 0.218, 0.749], [0.500, 0.500, 0.289], [0.500, 0.500, 0.711], [0.611, 0.782, 0.251], [0.611, 0.782, 0.749], [0.657, 0.082, 0.500], [0.668, 0.057, 0.000], [0.832, 0.557, 0.000], [0.843, 0.582, 0.500], [0.889, 0.282, 0.251], [0.889, 0.282, 0.749]]}

---

(4)
{"formula": "KLiMnO2", "functional": "GGA+U", "state": "optimized geometry", "total_energy_ev_per_cell": -113.2, "lattice": [[5.718, -1.200, -0.713], [3.404, 3.270, 5.045], [1.285, -5.525, 5.080]], "species": ["K", "K", "K", "K", "Li", "Li", "Li", "Li", "Mn", "Mn", "Mn", "Mn", "O", "O", "O", "O", "O", "O", "O", "O"], "frac_coords": [[0.312, 0.080, 0.367], [0.312, 0.580, 0.367], [0.688, 0.420, 0.633], [0.688, 0.920, 0.633], [0.378, 0.669, 0.947], [0.378, 0.169, 0.947], [0.622, 0.831, 0.053], [0.622, 0.331, 0.053], [0.905, 0.478, 0.184], [0.095, 0.022, 0.816], [0.905, 0.978, 0.184], [0.095, 0.522, 0.816], [0.240, 0.767, 0.693], [0.240, 0.267, 0.693], [0.760, 0.733, 0.307], [0.760, 0.233, 0.307], [0.734, 0.581, 0.942], [0.734, 0.081, 0.942], [0.266, 0.919, 0.058], [0.266, 0.419, 0.058]]}

---

(5)
{"formula": "Li9Mn2Co5O16", "functional": "GGA+U", "state": "optimized geometry", "sg": "Pm, No. 6", "crystal_system": "monoclinic", "total_energy_ev_per_cell": -185.5, "lattice": [[8.447, 0.000, 0.000], [0.000, 2.903, 0.000], [-0.037, 0.000, 11.797]], "species": ["Li", "Li", "Li", "Li", "Li", "Li", "Li", "Li", "Li", "Mn", "Mn", "Co", "Co", "Co", "Co", "Co", "O", "O", "O", "O", "O", "O", "O", "O", "O", "O", "O", "O", "O", "O", "O", "O"], "frac_coords": [[0.000, 0.000, 0.000], [0.000, 0.000, 0.491], [0.251, 0.500, 0.125], [0.266, 0.500, 0.611], [0.496, 0.000, 0.493], [0.497, 0.000, 0.249], [0.501, 0.000, 0.743], [0.744, 0.500, 0.375], [0.752, 0.500, 0.867], [0.503, 0.000, 0.995], [0.998, 0.000, 0.742], [0.007, 0.000, 0.247], [0.245, 0.500, 0.870], [0.266, 0.500, 0.374], [0.724, 0.500, 0.612], [0.759, 0.500, 0.122], [0.000, 0.500, 0.129], [0.009, 0.500, 0.635], [0.020, 0.500, 0.362], [0.235, 0.000, 0.759], [0.244, 0.000, 0.979], [0.245, 0.000, 0.250], [0.246, 0.000, 0.486], [0.475, 0.500, 0.368], [0.501, 0.500, 0.881], [0.504, 0.500, 0.108], [0.511, 0.500, 0.625], [0.754, 0.000, 0.501], [0.757, 0.000, 0.239], [0.760, 0.000, 0.006], [0.773, 0.000, 0.734], [0.996, 0.500, 0.853]]}

---

(6)
{"formula": "Li8VO5F", "functional": "GGA+U", "state": "optimized geometry", "sg": "P6_3, No. 173", "crystal_system": "hexagonal", "total_energy_ev_per_cell": -159.0, "lattice": [[5.647, 0.000, 0.000], [-2.823, 4.890, 0.000], [0.000, 0.000, 10.921]], "species": ["Li", "Li", "Li", "Li", "Li", "Li", "Li", "Li", "Li", "Li", "Li", "Li", "Li", "Li", "Li", "Li", "V", "V", "O", "O", "O", "O", "O", "O", "O", "O", "O", "O", "F", "F"], "frac_coords": [[0.020, 0.630, 0.000], [0.024, 0.315, 0.151], [0.291, 0.976, 0.151], [0.315, 0.291, 0.651], [0.333, 0.667, 0.293], [0.333, 0.667, 0.803], [0.370, 0.390, 0.000], [0.390, 0.020, 0.500], [0.610, 0.980, 0.000], [0.630, 0.610, 0.500], [0.667, 0.333, 0.303], [0.667, 0.333, 0.793], [0.685, 0.709, 0.151], [0.709, 0.024, 0.651], [0.976, 0.685, 0.651], [0.980, 0.370, 0.500], [0.000, 0.000, 0.367], [0.000, 0.000, 0.867], [0.000, 0.000, 0.054], [0.000, 0.000, 0.554], [0.002, 0.674, 0.827], [0.326, 0.328, 0.827], [0.328, 0.002, 0.327], [0.333, 0.667, 0.091], [0.667, 0.333, 0.591], [0.672, 0.998, 0.827], [0.674, 0.672, 0.327], [0.998, 0.326, 0.327], [0.333, 0.667, 0.588], [0.667, 0.333, 0.088]]}

---

Copy entry 4 word for word.
{"formula": "KLiMnO2", "functional": "GGA+U", "state": "optimized geometry", "total_energy_ev_per_cell": -113.2, "lattice": [[5.718, -1.200, -0.713], [3.404, 3.270, 5.045], [1.285, -5.525, 5.080]], "species": ["K", "K", "K", "K", "Li", "Li", "Li", "Li", "Mn", "Mn", "Mn", "Mn", "O", "O", "O", "O", "O", "O", "O", "O"], "frac_coords": [[0.312, 0.080, 0.367], [0.312, 0.580, 0.367], [0.688, 0.420, 0.633], [0.688, 0.920, 0.633], [0.378, 0.669, 0.947], [0.378, 0.169, 0.947], [0.622, 0.831, 0.053], [0.622, 0.331, 0.053], [0.905, 0.478, 0.184], [0.095, 0.022, 0.816], [0.905, 0.978, 0.184], [0.095, 0.522, 0.816], [0.240, 0.767, 0.693], [0.240, 0.267, 0.693], [0.760, 0.733, 0.307], [0.760, 0.233, 0.307], [0.734, 0.581, 0.942], [0.734, 0.081, 0.942], [0.266, 0.919, 0.058], [0.266, 0.419, 0.058]]}